VASP calculation (PBE) on an optimized crystal structure of NpSi2Ru2.

abc: 5.640 5.640 5.640
angles: 136.68 136.68 62.92
Atoms (fractional coordinates):
Np1 0.000 0.000 0.000
Si1 0.372 0.372 0.000
Si2 0.628 0.628 0.000
Ru1 0.250 0.750 0.500
Ru2 0.750 0.250 0.500

Energy relative to the elements   -613 meV/atom
Crystal system   tetragonal